{
  "formula": "InAsPd5",
  "functional": "PBE",
  "state": "relaxed",
  "lattice": [[4.058, 0.000, 0.000], [0.000, 4.058, 0.000], [0.000, 0.000, 7.101]],
  "species": ["In", "As", "Pd", "Pd", "Pd", "Pd", "Pd"],
  "frac_coords": [[0.500, 0.500, 0.000], [0.000, 0.000, 0.500], [0.000, 0.000, 0.000], [0.500, 0.000, 0.711], [0.000, 0.500, 0.711], [0.500, 0.000, 0.289], [0.000, 0.500, 0.289]],
  "dft_energy_ev_per_cell": -36.8,
  "formation_enthalpy_0k_ev_per_atom": -0.49
}